## V2Ag4O7 (PBE+U)

Data for an optimized crystal structure of V2Ag4O7.

Computed properties:
E (MP2020), eV for the cell shown: -1317.12
Total energy, eV per atom: -5.701
Space group: Pbca (61)
M_tot, μB per atom: 0.000
Mass density, Mg/m³: 5.80
Formation energy, meV/atom: -1399

Unit cell a=10.995 b=14.119 c=19.058 alpha=90.00 beta=90.00 gamma=90.00
Fractional coordinates of all 208 atoms:
V 0.014 0.250 0.243
V 0.014 0.250 0.743
V 0.017 0.516 0.242
V 0.017 0.984 0.742
V 0.244 0.229 0.501
V 0.244 0.271 0.001
V 0.245 0.504 0.998
V 0.245 0.996 0.498
V 0.255 0.004 0.998
V 0.255 0.496 0.498
V 0.256 0.729 0.501
V 0.256 0.771 0.001
V 0.483 0.016 0.242
V 0.483 0.484 0.742
V 0.486 0.750 0.243
V 0.486 0.750 0.743
V 0.514 0.250 0.257
V 0.514 0.250 0.757
V 0.517 0.516 0.258
V 0.517 0.984 0.758
V 0.744 0.229 0.999
V 0.744 0.271 0.499
V 0.745 0.504 0.502
V 0.745 0.996 0.002
V 0.755 0.004 0.502
V 0.755 0.496 0.002
V 0.756 0.729 0.999
V 0.756 0.771 0.499
V 0.983 0.016 0.258
V 0.983 0.484 0.758
V 0.986 0.750 0.257
V 0.986 0.750 0.757
Ag 0.002 0.124 0.916
Ag 0.002 0.376 0.416
Ag 0.002 0.641 0.091
Ag 0.002 0.859 0.591
Ag 0.009 0.615 0.418
Ag 0.009 0.885 0.918
Ag 0.011 0.631 0.913
Ag 0.011 0.869 0.413
Ag 0.223 0.601 0.674
Ag 0.223 0.899 0.174
Ag 0.245 0.658 0.162
Ag 0.245 0.842 0.662
Ag 0.249 0.622 0.330
Ag 0.249 0.630 0.836
Ag 0.249 0.870 0.336
Ag 0.249 0.878 0.830
Ag 0.251 0.122 0.330
Ag 0.251 0.130 0.836
Ag 0.251 0.370 0.336
Ag 0.251 0.378 0.830
Ag 0.255 0.158 0.162
Ag 0.255 0.342 0.662
Ag 0.277 0.101 0.674
Ag 0.277 0.399 0.174
Ag 0.489 0.131 0.913
Ag 0.489 0.369 0.413
Ag 0.491 0.115 0.418
Ag 0.491 0.385 0.918
Ag 0.498 0.141 0.091
Ag 0.498 0.359 0.591
Ag 0.498 0.624 0.916
Ag 0.498 0.876 0.416
Ag 0.502 0.124 0.584
Ag 0.502 0.376 0.084
Ag 0.502 0.641 0.409
Ag 0.502 0.859 0.909
Ag 0.509 0.615 0.082
Ag 0.509 0.885 0.582
Ag 0.511 0.631 0.587
Ag 0.511 0.869 0.087
Ag 0.723 0.601 0.826
Ag 0.723 0.899 0.326
Ag 0.745 0.658 0.338
Ag 0.745 0.842 0.838
Ag 0.749 0.622 0.170
Ag 0.749 0.630 0.664
Ag 0.749 0.870 0.164
Ag 0.749 0.878 0.670
Ag 0.751 0.122 0.170
Ag 0.751 0.130 0.664
Ag 0.751 0.370 0.164
Ag 0.751 0.378 0.670
Ag 0.755 0.158 0.338
Ag 0.755 0.342 0.838
Ag 0.777 0.101 0.826
Ag 0.777 0.399 0.326
Ag 0.989 0.131 0.587
Ag 0.989 0.369 0.087
Ag 0.991 0.115 0.082
Ag 0.991 0.385 0.582
Ag 0.998 0.141 0.409
Ag 0.998 0.359 0.909
Ag 0.998 0.624 0.584
Ag 0.998 0.876 0.084
O 0.011 0.583 0.708
O 0.011 0.917 0.208
O 0.032 0.124 0.211
O 0.032 0.376 0.711
O 0.064 0.008 0.335
O 0.064 0.492 0.835
O 0.084 0.239 0.325
O 0.084 0.261 0.825
O 0.095 0.192 0.677
O 0.095 0.308 0.177
O 0.126 0.191 0.000
O 0.126 0.309 0.500
O 0.129 0.586 0.005
O 0.129 0.914 0.505
O 0.144 0.738 0.759
O 0.144 0.762 0.259
O 0.157 0.004 0.069
O 0.157 0.496 0.569
O 0.167 0.730 0.425
O 0.167 0.770 0.925
O 0.168 0.112 0.500
O 0.168 0.388 0.000
O 0.172 0.733 0.579
O 0.172 0.767 0.079
O 0.173 0.530 0.226
O 0.173 0.970 0.726
O 0.179 0.009 0.917
O 0.179 0.491 0.417
O 0.321 0.509 0.917
O 0.321 0.991 0.417
O 0.327 0.030 0.226
O 0.327 0.470 0.726
O 0.328 0.233 0.579
O 0.328 0.267 0.079
O 0.332 0.612 0.500
O 0.332 0.888 0.000
O 0.333 0.230 0.425
O 0.333 0.270 0.925
O 0.343 0.504 0.069
O 0.343 0.996 0.569
O 0.356 0.238 0.759
O 0.356 0.262 0.259
O 0.371 0.086 0.005
O 0.371 0.414 0.505
O 0.374 0.691 0.000
O 0.374 0.809 0.500
O 0.405 0.692 0.677
O 0.405 0.808 0.177
O 0.416 0.739 0.325
O 0.416 0.761 0.825
O 0.436 0.508 0.335
O 0.436 0.992 0.835
O 0.468 0.624 0.211
O 0.468 0.876 0.711
O 0.489 0.083 0.708
O 0.489 0.417 0.208
O 0.511 0.583 0.792
O 0.511 0.917 0.292
O 0.532 0.124 0.289
O 0.532 0.376 0.789
O 0.564 0.008 0.165
O 0.564 0.492 0.665
O 0.584 0.239 0.175
O 0.584 0.261 0.675
O 0.595 0.192 0.823
O 0.595 0.308 0.323
O 0.626 0.191 0.500
O 0.626 0.309 0.000
O 0.629 0.586 0.495
O 0.629 0.914 0.995
O 0.644 0.738 0.741
O 0.644 0.762 0.241
O 0.657 0.004 0.431
O 0.657 0.496 0.931
O 0.667 0.730 0.075
O 0.667 0.770 0.575
O 0.668 0.112 0.000
O 0.668 0.388 0.500
O 0.672 0.733 0.921
O 0.672 0.767 0.421
O 0.673 0.530 0.274
O 0.673 0.970 0.774
O 0.679 0.009 0.583
O 0.679 0.491 0.083
O 0.821 0.509 0.583
O 0.821 0.991 0.083
O 0.827 0.030 0.274
O 0.827 0.470 0.774
O 0.828 0.233 0.921
O 0.828 0.267 0.421
O 0.832 0.612 0.000
O 0.832 0.888 0.500
O 0.833 0.230 0.075
O 0.833 0.270 0.575
O 0.843 0.504 0.431
O 0.843 0.996 0.931
O 0.856 0.238 0.741
O 0.856 0.262 0.241
O 0.871 0.086 0.495
O 0.871 0.414 0.995
O 0.874 0.691 0.500
O 0.874 0.809 0.000
O 0.905 0.692 0.823
O 0.905 0.808 0.323
O 0.916 0.739 0.175
O 0.916 0.761 0.675
O 0.936 0.508 0.165
O 0.936 0.992 0.665
O 0.968 0.624 0.289
O 0.968 0.876 0.789
O 0.989 0.083 0.792
O 0.989 0.417 0.292

***

## MoO2 (PBE+U)

Data for an optimized crystal structure of MoO2.

Computed properties:
E (MP2020), eV for the cell shown: -103.85
Total energy, eV per atom: -7.129
Space group: Imma (74)
M_tot, μB per atom: 0.667
Mass density, Mg/m³: 4.83
Formation energy, meV/atom: -1741

Unit cell a=6.253 b=6.253 c=6.253 alpha=121.85 beta=115.08 gamma=92.77
Fractional coordinates of all 12 atoms:
Mo 0.000 0.000 0.000
Mo 0.370 0.620 0.750
Mo 0.500 0.000 0.500
Mo 0.630 0.380 0.250
O 0.249 0.231 0.481
O 0.249 0.768 0.019
O 0.286 0.245 0.041
O 0.296 0.755 0.541
O 0.704 0.245 0.459
O 0.714 0.755 0.959
O 0.751 0.232 0.981
O 0.751 0.769 0.519